<A>
LiMn2P2O8 | GGA+U | optimized geometry

CIF file:
```
data_LiMn2P2O8
_chemical_formula_sum 'Li2 Mn4 P4 O16'
_symmetry_space_group_name_H-M 'P 1'
_symmetry_Int_Tables_number 1
_cell_length_a 4.8736
_cell_length_b 6.1499
_cell_length_c 10.1778
_cell_angle_alpha 89.98
_cell_angle_beta 89.98
_cell_angle_gamma 89.83
loop_
_symmetry_equiv_pos_as_xyz
'x,y,z'
loop_
_atom_site_label
_atom_site_fract_x
_atom_site_fract_y
_atom_site_fract_z
_atom_site_occupancy
Li1 0.0000 0.0000 0.0000 1
Li2 0.4990 0.5182 0.5017 1
Mn1 0.0370 0.7628 0.7178 1
Mn2 0.4552 0.7529 0.2163 1
Mn3 0.5412 0.2611 0.7816 1
Mn4 0.9515 0.2552 0.2824 1
P1 0.0778 0.2649 0.5965 1
P2 0.4179 0.2517 0.0974 1
P3 0.5761 0.7610 0.9027 1
P4 0.9181 0.7556 0.4008 1
O1 0.1647 0.2600 0.4497 1
O2 0.2059 0.0720 0.6738 1
O3 0.2281 0.4687 0.6569 1
O4 0.2324 0.7413 0.3888 1
O5 0.2625 0.7759 0.8920 1
O6 0.2686 0.0480 0.1592 1
O7 0.2894 0.4446 0.1749 1
O8 0.3295 0.2555 0.9514 1
O9 0.6736 0.7582 0.0475 1
O10 0.7013 0.5662 0.8249 1
O11 0.7257 0.9634 0.8383 1
O12 0.7329 0.2394 0.1114 1
O13 0.7629 0.2782 0.6101 1
O14 0.7697 0.5531 0.3354 1
O15 0.7928 0.9501 0.3226 1
O16 0.8210 0.7573 0.5448 1
```

---

<B>
LiMn2P2O8 | GGA+U | optimized geometry

CIF file:
```
data_LiMn2P2O8
_chemical_formula_sum 'Li2 Mn4 P4 O16'
_symmetry_space_group_name_H-M 'P 1'
_symmetry_Int_Tables_number 1
_cell_length_a 5.0868
_cell_length_b 7.2278
_cell_length_c 9.7138
_cell_angle_alpha 90.08
_cell_angle_beta 94.28
_cell_angle_gamma 90.08
loop_
_symmetry_equiv_pos_as_xyz
'x,y,z'
loop_
_atom_site_label
_atom_site_fract_x
_atom_site_fract_y
_atom_site_fract_z
_atom_site_occupancy
Li1 0.0000 0.0000 0.0000 1
Li2 0.0008 0.4638 0.5003 1
Mn1 0.5433 0.5224 0.7203 1
Mn2 0.5431 0.9417 0.2205 1
Mn3 0.9873 0.5035 0.0301 1
Mn4 0.9891 0.9597 0.5293 1
P1 0.0021 0.2566 0.7641 1
P2 0.0026 0.2072 0.2642 1
P3 0.4639 0.7476 0.9275 1
P4 0.4655 0.7161 0.4275 1
O1 0.0359 0.2606 0.9234 1
O2 0.0367 0.2033 0.4236 1
O3 0.0717 0.0615 0.7190 1
O4 0.0732 0.4022 0.2194 1
O5 0.1562 0.0449 0.2001 1
O6 0.1573 0.4184 0.7005 1
O7 0.1815 0.7450 0.9735 1
O8 0.1830 0.7176 0.4735 1
O9 0.4756 0.7828 0.7696 1
O10 0.4778 0.6804 0.2696 1
O11 0.5923 0.5461 0.9331 1
O12 0.5924 0.9184 0.4331 1
O13 0.6327 0.8823 0.0227 1
O14 0.6356 0.5831 0.5230 1
O15 0.7045 0.1748 0.2114 1
O16 0.7043 0.2894 0.7112 1
```

---

<C>
LiMn2P2O8 | GGA+U | optimized geometry

CIF file:
```
data_LiMn2P2O8
_chemical_formula_sum 'Li6 Mn12 P12 O48'
_symmetry_space_group_name_H-M 'P 1'
_symmetry_Int_Tables_number 1
_cell_length_a 8.7027
_cell_length_b 9.0506
_cell_length_c 12.5331
_cell_angle_alpha 104.78
_cell_angle_beta 99.35
_cell_angle_gamma 104.95
loop_
_symmetry_equiv_pos_as_xyz
'x,y,z'
loop_
_atom_site_label
_atom_site_fract_x
_atom_site_fract_y
_atom_site_fract_z
_atom_site_occupancy
Li1 0.0000 0.0000 0.0000 1
Li2 0.0008 0.2586 0.2695 1
Li3 0.4854 0.6480 0.1556 1
Li4 0.4955 0.3782 0.9015 1
Li5 0.5045 0.1221 0.6176 1
Li6 0.9929 0.5112 0.5386 1
Mn1 0.1120 0.9027 0.4822 1
Mn2 0.1166 0.3998 0.9776 1
Mn3 0.2158 0.5253 0.7592 1
Mn4 0.2300 0.0128 0.2600 1
Mn5 0.4336 0.4965 0.3871 1
Mn6 0.4355 0.9941 0.8908 1
Mn7 0.5573 0.5185 0.6450 1
Mn8 0.5619 0.0231 0.1519 1
Mn9 0.7739 0.5003 0.2837 1
Mn10 0.7771 0.9837 0.7769 1
Mn11 0.8733 0.1093 0.5572 1
Mn12 0.8812 0.6080 0.0537 1
P1 0.1526 0.6224 0.2653 1
P2 0.1628 0.1369 0.7744 1
P3 0.2088 0.2782 0.4971 1
P4 0.2090 0.7839 0.9994 1
P5 0.3726 0.7725 0.6273 1
P6 0.3780 0.2745 0.1280 1
P7 0.6181 0.7400 0.9113 1
P8 0.6223 0.2465 0.4133 1
P9 0.7856 0.2346 0.0401 1
P10 0.7859 0.7294 0.5391 1
P11 0.8305 0.3761 0.7630 1
P12 0.8402 0.8858 0.2676 1
O1 0.0280 0.5105 0.3070 1
O2 0.0372 0.7858 0.0203 1
O3 0.0378 0.2779 0.5133 1
O4 0.0404 0.0498 0.8301 1
O5 0.0943 0.5772 0.1316 1
O6 0.1039 0.0768 0.6430 1
O7 0.1667 0.8013 0.3181 1
O8 0.1905 0.3222 0.8181 1
O9 0.2205 0.6717 0.6534 1
O10 0.2249 0.1804 0.1566 1
O11 0.2273 0.6168 0.9487 1
O12 0.2277 0.3565 0.4001 1
O13 0.2307 0.8732 0.9100 1
O14 0.2319 0.1090 0.4526 1
O15 0.3256 0.6015 0.2899 1
O16 0.3287 0.8771 0.5541 1
O17 0.3317 0.3719 0.6152 1
O18 0.3324 0.8690 0.1197 1
O19 0.3410 0.1251 0.8115 1
O20 0.3437 0.3714 0.0462 1
O21 0.4566 0.6527 0.5641 1
O22 0.4617 0.1500 0.0703 1
O23 0.4894 0.6185 0.8031 1
O24 0.4965 0.1215 0.3052 1
O25 0.5035 0.8927 0.7350 1
O26 0.5082 0.3986 0.2348 1
O27 0.5338 0.3689 0.4678 1
O28 0.5343 0.8622 0.9718 1
O29 0.6528 0.3886 0.7267 1
O30 0.6567 0.6377 0.9894 1
O31 0.6611 0.1635 0.5021 1
O32 0.6624 0.1416 0.9224 1
O33 0.6628 0.8928 0.2264 1
O34 0.6655 0.6417 0.4191 1
O35 0.7632 0.4042 0.0847 1
O36 0.7630 0.6419 0.6302 1
O37 0.7678 0.1571 0.1377 1
O38 0.7715 0.8975 0.5914 1
O39 0.7726 0.8382 0.8872 1
O40 0.7766 0.3397 0.3849 1
O41 0.8053 0.1919 0.7211 1
O42 0.8222 0.7041 0.2186 1
O43 0.8884 0.4378 0.8948 1
O44 0.8924 0.9348 0.4009 1
O45 0.9554 0.4644 0.7087 1
O46 0.9560 0.2322 0.0241 1
O47 0.9578 0.7269 0.5187 1
O48 0.9690 0.9960 0.2275 1
```

---

<D>
LiMn2P2O8 | GGA+U | optimized geometry

CIF file:
```
data_LiMn2P2O8
_chemical_formula_sum 'Li2 Mn4 P4 O16'
_symmetry_space_group_name_H-M 'P 1 c 1'
_symmetry_Int_Tables_number 7
_cell_length_a 8.5318
_cell_length_b 5.3501
_cell_length_c 8.4991
_cell_angle_alpha 90.00
_cell_angle_beta 109.09
_cell_angle_gamma 90.00
loop_
_symmetry_equiv_pos_as_xyz
'x,y,z'
'x,-y,z+1/2'
loop_
_atom_site_label
_atom_site_fract_x
_atom_site_fract_y
_atom_site_fract_z
_atom_site_occupancy
Li1 0.0000 0.1656 0.0000 1
Mn1 0.1361 0.3335 0.4056 1
Mn2 0.6497 0.1854 0.0900 1
P1 0.2570 0.1572 0.7856 1
P2 0.7862 0.3177 0.4723 1
O1 0.1383 0.3020 0.8602 1
O2 0.1782 0.1048 0.2318 1
O3 0.2747 0.3002 0.6322 1
O4 0.4310 0.1444 0.9113 1
O5 0.6396 0.3139 0.3080 1
O6 0.7524 0.1625 0.6091 1
O7 0.8337 0.4079 0.0323 1
O8 0.9365 0.1894 0.4302 1
```

---

Taking the most stable structure as the zero point, the relative energies in meV/atom are <A> 0; <B> 41; <C> 20; <D> 76.

---

<A>
LiMn2P2O8 | GGA+U | optimized geometry

CIF file:
```
data_LiMn2P2O8
_chemical_formula_sum 'Li6 Mn12 P12 O48'
_symmetry_space_group_name_H-M 'P -1'
_symmetry_Int_Tables_number 2
_cell_length_a 8.6703
_cell_length_b 9.0912
_cell_length_c 12.5574
_cell_angle_alpha 105.38
_cell_angle_beta 99.59
_cell_angle_gamma 104.41
loop_
_symmetry_equiv_pos_as_xyz
'x,y,z'
'-x,-y,-z'
loop_
_atom_site_label
_atom_site_fract_x
_atom_site_fract_y
_atom_site_fract_z
_atom_site_occupancy
Li1 0.0000 0.0000 0.0000 1
Li2 0.0000 0.5000 0.5000 1
Li3 0.0042 0.2544 0.2542 1
Li4 0.4930 0.3705 0.8526 1
Mn1 0.1141 0.1451 0.7105 1
Mn2 0.1242 0.6483 0.2137 1
Mn3 0.2263 0.7604 0.9902 1
Mn4 0.2374 0.2545 0.4916 1
Mn5 0.4321 0.7367 0.6171 1
Mn6 0.4367 0.2366 0.1214 1
P1 0.1510 0.8670 0.5007 1
P2 0.1595 0.3734 0.9992 1
P3 0.2089 0.5205 0.7294 1
P4 0.2103 0.0211 0.2295 1
P5 0.3705 0.0157 0.8585 1
P6 0.3732 0.5090 0.3567 1
O1 0.0210 0.7605 0.5416 1
O2 0.0341 0.0203 0.2449 1
O3 0.0361 0.2658 0.0438 1
O4 0.0367 0.5215 0.7455 1
O5 0.0919 0.8223 0.3661 1
O6 0.1027 0.3229 0.8673 1
O7 0.1705 0.0477 0.5516 1
O8 0.1756 0.5544 0.0485 1
O9 0.2202 0.9199 0.8887 1
O10 0.2213 0.4158 0.3868 1
O11 0.2252 0.6000 0.6340 1
O12 0.2258 0.1021 0.1343 1
O13 0.2316 0.8553 0.1807 1
O14 0.2369 0.3536 0.6853 1
O15 0.3194 0.8405 0.5288 1
O16 0.3222 0.1203 0.7855 1
O17 0.3295 0.1168 0.3484 1
O18 0.3311 0.5902 0.2679 1
O19 0.3321 0.6150 0.8485 1
O20 0.3389 0.3640 0.0347 1
O21 0.4530 0.8955 0.7942 1
O22 0.4622 0.3864 0.3005 1
O23 0.4956 0.8618 0.0354 1
O24 0.4992 0.3659 0.5355 1
```

---

<B>
LiMn2P2O8 | GGA+U | optimized geometry

CIF file:
```
data_LiMn2P2O8
_chemical_formula_sum 'Li6 Mn12 P12 O48'
_symmetry_space_group_name_H-M 'P 1'
_symmetry_Int_Tables_number 1
_cell_length_a 8.5935
_cell_length_b 9.0682
_cell_length_c 12.5912
_cell_angle_alpha 105.08
_cell_angle_beta 99.54
_cell_angle_gamma 104.67
loop_
_symmetry_equiv_pos_as_xyz
'x,y,z'
loop_
_atom_site_label
_atom_site_fract_x
_atom_site_fract_y
_atom_site_fract_z
_atom_site_occupancy
Li1 0.0000 0.0000 0.0000 1
Li2 0.0035 0.4772 0.4709 1
Li3 0.0230 0.7292 0.7419 1
Li4 0.5055 0.1218 0.6255 1
Li5 0.5095 0.8566 0.3620 1
Li6 0.5202 0.5963 0.1010 1
Mn1 0.0761 0.8732 0.4943 1
Mn2 0.0789 0.3749 0.9930 1
Mn3 0.2864 0.8486 0.1260 1
Mn4 0.2889 0.3467 0.6308 1
Mn5 0.3913 0.4603 0.4014 1
Mn6 0.3946 0.9618 0.9030 1
Mn7 0.6256 0.2539 0.3216 1
Mn8 0.6276 0.7560 0.8237 1
Mn9 0.7353 0.8702 0.6016 1
Mn10 0.7438 0.3672 0.0994 1
Mn11 0.9451 0.3463 0.7332 1
Mn12 0.9460 0.8495 0.2338 1
P1 0.1376 0.0861 0.7541 1
P2 0.1403 0.5983 0.2586 1
P3 0.3045 0.0889 0.3842 1
P4 0.3077 0.5931 0.8847 1
P5 0.3519 0.7305 0.6140 1
P6 0.3543 0.2362 0.1141 1
P7 0.6670 0.9794 0.1111 1
P8 0.6708 0.4838 0.6092 1
P9 0.7163 0.1244 0.8424 1
P10 0.7185 0.6283 0.3423 1
P11 0.8820 0.1265 0.4702 1
P12 0.8865 0.6307 0.9736 1
O1 0.0128 0.4751 0.1490 1
O2 0.0160 0.2484 0.5786 1
O3 0.0277 0.7593 0.0759 1
O4 0.0525 0.7190 0.3164 1
O5 0.0644 0.2103 0.8202 1
O6 0.1716 0.7393 0.5850 1
O7 0.1759 0.2439 0.0764 1
O8 0.1830 0.9917 0.2656 1
O9 0.1843 0.9825 0.8302 1
O10 0.1860 0.4941 0.7660 1
O11 0.1870 0.5119 0.3451 1
O12 0.2734 0.7585 0.9254 1
O13 0.2832 0.1659 0.7103 1
O14 0.2834 0.2572 0.4319 1
O15 0.2888 0.0084 0.4785 1
O16 0.2898 0.5191 0.9818 1
O17 0.2952 0.6942 0.2293 1
O18 0.3385 0.5497 0.5654 1
O19 0.3394 0.0543 0.0632 1
O20 0.4115 0.2810 0.2474 1
O21 0.4171 0.7833 0.7469 1
O22 0.4747 0.8407 0.5689 1
O23 0.4811 0.0898 0.3660 1
O24 0.4843 0.3496 0.0767 1
O25 0.4853 0.6013 0.8702 1
O26 0.5389 0.1165 0.8573 1
O27 0.5419 0.6262 0.3591 1
O28 0.5419 0.8705 0.1559 1
O29 0.5485 0.3689 0.6506 1
O30 0.6001 0.9321 0.9781 1
O31 0.6092 0.4369 0.4766 1
O32 0.6815 0.6638 0.6621 1
O33 0.6827 0.1599 0.1624 1
O34 0.7299 0.0276 0.5003 1
O35 0.7339 0.1966 0.7445 1
O36 0.7359 0.7105 0.2490 1
O37 0.7419 0.5495 0.0170 1
O38 0.7448 0.4608 0.2969 1
O39 0.7481 0.9577 0.8014 1
O40 0.8334 0.2338 0.3993 1
O41 0.8399 0.2234 0.9606 1
O42 0.8398 0.7281 0.8930 1
O43 0.8397 0.9550 0.1320 1
O44 0.8407 0.7227 0.4613 1
O45 0.8529 0.4800 0.6406 1
O46 0.9628 0.5041 0.9095 1
O47 0.9643 0.0090 0.4054 1
O48 0.9966 0.9588 0.6506 1
```

---

Taking the most stable structure as the zero point, the relative energies in meV/atom are <A> 0; <B> 7.

---

<A>
LiMn2P2O8 | GGA+U | optimized geometry

CIF file:
```
data_LiMn2P2O8
_chemical_formula_sum 'Li2 Mn4 P4 O16'
_symmetry_space_group_name_H-M 'P 1 21 1'
_symmetry_Int_Tables_number 4
_cell_length_a 5.0936
_cell_length_b 9.8637
_cell_length_c 7.0836
_cell_angle_alpha 90.00
_cell_angle_beta 90.47
_cell_angle_gamma 90.00
loop_
_symmetry_equiv_pos_as_xyz
'x,y,z'
'-x,y+1/2,-z'
loop_
_atom_site_label
_atom_site_fract_x
_atom_site_fract_y
_atom_site_fract_z
_atom_site_occupancy
Li1 0.0436 0.0000 0.2435 1
Mn1 0.0632 0.0114 0.7435 1
Mn2 0.4731 0.7197 0.7107 1
P1 0.0571 0.2566 0.0170 1
P2 0.4355 0.4281 0.5179 1
O1 0.0141 0.4117 0.0073 1
O2 0.0334 0.6966 0.1714 1
O3 0.0847 0.6971 0.8055 1
O4 0.1449 0.4699 0.5094 1
O5 0.3560 0.2199 0.0447 1
O6 0.4140 0.0260 0.3484 1
O7 0.4449 0.9300 0.6901 1
O8 0.4784 0.2755 0.5624 1
```

---

<B>
LiMn2P2O8 | GGA+U | optimized geometry

CIF file:
```
data_LiMn2P2O8
_chemical_formula_sum 'Li2 Mn4 P4 O16'
_symmetry_space_group_name_H-M 'P 1'
_symmetry_Int_Tables_number 1
_cell_length_a 5.3013
_cell_length_b 6.1007
_cell_length_c 9.4393
_cell_angle_alpha 89.99
_cell_angle_beta 89.38
_cell_angle_gamma 89.98
loop_
_symmetry_equiv_pos_as_xyz
'x,y,z'
loop_
_atom_site_label
_atom_site_fract_x
_atom_site_fract_y
_atom_site_fract_z
_atom_site_occupancy
Li1 0.0000 0.0000 0.0000 1
Li2 0.4993 0.2560 0.5002 1
Mn1 0.3594 0.7481 0.7231 1
Mn2 0.4567 0.2765 0.9178 1
Mn3 0.8583 0.5071 0.2231 1
Mn4 0.9559 0.9790 0.4175 1
P1 0.3609 0.2303 0.1919 1
P2 0.3935 0.7380 0.4220 1
P3 0.8607 0.0253 0.6919 1
P4 0.8942 0.5177 0.9218 1
O1 0.0887 0.0226 0.7908 1
O2 0.1087 0.2119 0.2788 1
O3 0.1346 0.5063 0.8293 1
O4 0.1455 0.7335 0.3273 1
O5 0.3542 0.9547 0.5083 1
O6 0.3648 0.0572 0.0668 1
O7 0.3649 0.4438 0.0998 1
O8 0.3904 0.5490 0.5291 1
O9 0.5890 0.2328 0.2909 1
O10 0.6085 0.0439 0.7790 1
O11 0.6347 0.7485 0.3298 1
O12 0.6456 0.5223 0.8276 1
O13 0.8547 0.3013 0.0085 1
O14 0.8642 0.1988 0.5668 1
O15 0.8641 0.8121 0.5994 1
O16 0.8917 0.7072 0.0286 1
```

---

Taking the most stable structure as the zero point, the relative energies in meV/atom are <A> 0; <B> 16.